(1)
The following is a PBE+U calculation of an optimized crystal structure of CoH18S2BrN6O4, from Materials Project.

Properties
Its energy relative to the elements is -0.516 eV/atom. The value obtained for the volume is 1316.5 Å³/cell.

Unit cell a=7.3555 b=13.0722 c=13.6918 alpha=90.00 beta=90.00 gamma=90.00
Sites, in units of the cell vectors:
Co (0.0000, 0.5000, 0.0000)
Co (0.0000, 0.0000, 0.5000)
Co (0.5000, 0.0000, 0.0000)
Co (0.5000, 0.5000, 0.5000)
H (0.3094, 0.5537, 0.0641)
H (0.3094, 0.4463, 0.9359)
H (0.6906, 0.0537, 0.4359)
H (0.6906, 0.9463, 0.5641)
H (0.6906, 0.4463, 0.9359)
H (0.6906, 0.5537, 0.0641)
H (0.3094, 0.9463, 0.5641)
H (0.3094, 0.0537, 0.4359)
H (0.1520, 0.5943, 0.1407)
H (0.1520, 0.4057, 0.8592)
H (0.8480, 0.0943, 0.3592)
H (0.8480, 0.9057, 0.6408)
H (0.8480, 0.4057, 0.8592)
H (0.8480, 0.5943, 0.1407)
H (0.1520, 0.9057, 0.6408)
H (0.1520, 0.0943, 0.3592)
H (0.2168, 0.4737, 0.1454)
H (0.2168, 0.5263, 0.8546)
H (0.7832, 0.9737, 0.3546)
H (0.7832, 0.0263, 0.6454)
H (0.7832, 0.5263, 0.8546)
H (0.7832, 0.4737, 0.1454)
H (0.2168, 0.0263, 0.6454)
H (0.2168, 0.9737, 0.3546)
H (0.2504, 0.9656, 0.8751)
H (0.2504, 0.0344, 0.1249)
H (0.7496, 0.4656, 0.6249)
H (0.7496, 0.5344, 0.3751)
H (0.7496, 0.0344, 0.1249)
H (0.7496, 0.9656, 0.8751)
H (0.2504, 0.5344, 0.3751)
H (0.2504, 0.4656, 0.6249)
H (0.3554, 0.8566, 0.9003)
H (0.3554, 0.1434, 0.0997)
H (0.6446, 0.3566, 0.5997)
H (0.6446, 0.6434, 0.4003)
H (0.6446, 0.1434, 0.0997)
H (0.6446, 0.8566, 0.9003)
H (0.3554, 0.6434, 0.4003)
H (0.3554, 0.3566, 0.5997)
H (0.2033, 0.9029, 0.9781)
H (0.2033, 0.0971, 0.0219)
H (0.7967, 0.4029, 0.5219)
H (0.7967, 0.5971, 0.4781)
H (0.7967, 0.0971, 0.0219)
H (0.7967, 0.9029, 0.9781)
H (0.2033, 0.5971, 0.4781)
H (0.2033, 0.4029, 0.5219)
H (0.3873, 0.8925, 0.1448)
H (0.3873, 0.1075, 0.8552)
H (0.6127, 0.3925, 0.3552)
H (0.6127, 0.6075, 0.6448)
H (0.6127, 0.1075, 0.8552)
H (0.6127, 0.8925, 0.1448)
H (0.3873, 0.6075, 0.6448)
H (0.3873, 0.3925, 0.3552)
H (0.5000, 0.8190, 0.0673)
H (0.5000, 0.1810, 0.9327)
H (0.5000, 0.3190, 0.4327)
H (0.5000, 0.6810, 0.5673)
H (0.0000, 0.6964, 0.0196)
H (0.0000, 0.3036, 0.9804)
H (0.0000, 0.1964, 0.4804)
H (0.0000, 0.8036, 0.5196)
H (0.1130, 0.6651, 0.9210)
H (0.1130, 0.3349, 0.0790)
H (0.8870, 0.1651, 0.5790)
H (0.8870, 0.8349, 0.4210)
H (0.8870, 0.3349, 0.0790)
H (0.8870, 0.6651, 0.9210)
H (0.1130, 0.8349, 0.4210)
H (0.1130, 0.1651, 0.5790)
S (0.0000, 0.8643, 0.1783)
S (0.0000, 0.1357, 0.8217)
S (0.0000, 0.3643, 0.3217)
S (0.0000, 0.6357, 0.6783)
S (0.0000, 0.7222, 0.2393)
S (0.0000, 0.2778, 0.7607)
S (0.0000, 0.2222, 0.2607)
S (0.0000, 0.7778, 0.7393)
Br (0.5000, 0.8278, 0.4450)
Br (0.5000, 0.1722, 0.5550)
Br (0.5000, 0.3278, 0.0550)
Br (0.5000, 0.6722, 0.9450)
N (0.1897, 0.5327, 0.0977)
N (0.1897, 0.4673, 0.9023)
N (0.8103, 0.0327, 0.4023)
N (0.8103, 0.9673, 0.5977)
N (0.8103, 0.4673, 0.9023)
N (0.8103, 0.5327, 0.0977)
N (0.1897, 0.9673, 0.5977)
N (0.1897, 0.0327, 0.4023)
N (0.0000, 0.6461, 0.9616)
N (0.0000, 0.3539, 0.0384)
N (0.0000, 0.1461, 0.5384)
N (0.0000, 0.8539, 0.4616)
N (0.5000, 0.8903, 0.0998)
N (0.5000, 0.1097, 0.9002)
N (0.5000, 0.3903, 0.4002)
N (0.5000, 0.6097, 0.5998)
N (0.3065, 0.9231, 0.9309)
N (0.3065, 0.0769, 0.0691)
N (0.6935, 0.4231, 0.5691)
N (0.6935, 0.5769, 0.4309)
N (0.6935, 0.0769, 0.0691)
N (0.6935, 0.9231, 0.9309)
N (0.3065, 0.5769, 0.4309)
N (0.3065, 0.4231, 0.5691)
O (0.0000, 0.8553, 0.0697)
O (0.0000, 0.1447, 0.9303)
O (0.0000, 0.3553, 0.4303)
O (0.0000, 0.6447, 0.5697)
O (0.1658, 0.9185, 0.2128)
O (0.1658, 0.0815, 0.7872)
O (0.8342, 0.4185, 0.2872)
O (0.8342, 0.5815, 0.7128)
O (0.8342, 0.0815, 0.7872)
O (0.8342, 0.9185, 0.2128)
O (0.1658, 0.5815, 0.7128)
O (0.1658, 0.4185, 0.2872)
O (0.5000, 0.6800, 0.2471)
O (0.5000, 0.3200, 0.7529)
O (0.5000, 0.1800, 0.2529)
O (0.5000, 0.8200, 0.7471)

---

(2)
The following is a PBE+U calculation of an optimized crystal structure of Ca10V6O25, from Materials Project.

Properties
Its energy relative to the elements is -2.990 eV/atom. The value obtained for the volume is 592.2 Å³/cell. The calculation puts the relative energy among the computed polymorphs at 29 meV per atom.

Unit cell a=10.0252 b=10.0252 c=6.8041 alpha=90.00 beta=90.00 gamma=120.00
Sites, in units of the cell vectors:
Ca (0.7729, 0.7546, 0.2722)
Ca (0.2271, 0.2454, 0.7278)
Ca (0.2454, 0.0183, 0.2722)
Ca (0.7546, 0.9817, 0.7278)
Ca (0.9817, 0.2271, 0.2722)
Ca (0.0183, 0.7729, 0.7278)
Ca (0.3333, 0.6667, 0.0135)
Ca (0.6667, 0.3333, 0.9865)
Ca (0.3333, 0.6667, 0.5082)
Ca (0.6667, 0.3333, 0.4918)
V (0.0266, 0.4020, 0.7589)
V (0.9734, 0.5980, 0.2411)
V (0.5980, 0.6245, 0.7589)
V (0.4020, 0.3755, 0.2411)
V (0.3755, 0.9734, 0.7589)
V (0.6245, 0.0266, 0.2411)
O (0.7597, 0.0738, 0.0547)
O (0.2403, 0.9262, 0.9453)
O (0.9262, 0.6858, 0.0547)
O (0.0738, 0.3142, 0.9453)
O (0.3142, 0.2403, 0.0547)
O (0.6858, 0.7597, 0.9453)
O (0.5281, 0.1332, 0.2246)
O (0.4719, 0.8668, 0.7754)
O (0.8668, 0.3949, 0.2246)
O (0.1332, 0.6051, 0.7754)
O (0.6051, 0.4719, 0.2246)
O (0.3949, 0.5281, 0.7754)
O (0.9021, 0.6424, 0.4474)
O (0.0979, 0.3576, 0.5526)
O (0.3576, 0.2597, 0.4474)
O (0.6424, 0.7403, 0.5526)
O (0.7403, 0.0979, 0.4474)
O (0.2597, 0.9021, 0.5526)
O (0.1682, 0.6686, 0.2563)
O (0.8318, 0.3314, 0.7437)
O (0.3314, 0.4996, 0.2563)
O (0.6686, 0.5004, 0.7437)
O (0.5004, 0.8318, 0.2563)
O (0.4996, 0.1682, 0.7437)
O (0.0000, 0.0000, 0.5000)

---

(3)
The following is a PBE+U calculation of an optimized crystal structure of VBi2O5, from Materials Project.

Properties
Its energy relative to the elements is -1.893 eV/atom. The value obtained for the volume is 692.8 Å³/cell. The calculation puts the relative energy among the computed polymorphs at 0 meV per atom.

Unit cell a=11.2697 b=11.2697 c=5.4700 alpha=90.00 beta=90.00 gamma=94.31
Sites, in units of the cell vectors:
V (0.5831, 0.9173, 0.7500)
V (0.4169, 0.0827, 0.2500)
V (0.9173, 0.5831, 0.7500)
V (0.0827, 0.4169, 0.2500)
V (0.2663, 0.2663, 0.7500)
V (0.7337, 0.7337, 0.2500)
Bi (0.4242, 0.7492, 0.2500)
Bi (0.5758, 0.2508, 0.7500)
Bi (0.7492, 0.4242, 0.2500)
Bi (0.2508, 0.5758, 0.7500)
Bi (0.7590, 0.0851, 0.2500)
Bi (0.2410, 0.9149, 0.7500)
Bi (0.0851, 0.7590, 0.2500)
Bi (0.9149, 0.2410, 0.7500)
Bi (0.0857, 0.0857, 0.2500)
Bi (0.9143, 0.9143, 0.7500)
Bi (0.4020, 0.4020, 0.2500)
Bi (0.5980, 0.5980, 0.7500)
O (0.9207, 0.0793, 0.5000)
O (0.0793, 0.9207, 0.0000)
O (0.0793, 0.9207, 0.5000)
O (0.9207, 0.0793, 0.0000)
O (0.4095, 0.5905, 0.5000)
O (0.5905, 0.4095, 0.0000)
O (0.5905, 0.4095, 0.5000)
O (0.4095, 0.5905, 0.0000)
O (0.7581, 0.2419, 0.5000)
O (0.2419, 0.7581, 0.0000)
O (0.2419, 0.7581, 0.5000)
O (0.7581, 0.2419, 0.0000)
O (0.3890, 0.2225, 0.5014)
O (0.5000, 0.0000, 0.5000)
O (0.0000, 0.5000, 0.5000)
O (0.0000, 0.5000, 0.0000)
O (0.5000, 0.0000, 0.0000)
O (0.6110, 0.7775, 0.4986)
O (0.3890, 0.2225, 0.9986)
O (0.7775, 0.6110, 0.0014)
O (0.2225, 0.3890, 0.5014)
O (0.8453, 0.8453, 0.2500)
O (0.1547, 0.1547, 0.7500)
O (0.9938, 0.7187, 0.7500)
O (0.0062, 0.2813, 0.2500)
O (0.7187, 0.9938, 0.7500)
O (0.2813, 0.0062, 0.2500)
O (0.2225, 0.3890, 0.9986)
O (0.7775, 0.6110, 0.4986)
O (0.6110, 0.7775, 0.0014)

---

(4)
The following is a PBE+U calculation of an optimized crystal structure of Te4MoO5F20, from Materials Project.

Properties
Its energy relative to the elements is -2.226 eV/atom. The value obtained for the volume is 2250.5 Å³/cell. The calculation puts the relative energy among the computed polymorphs at 0 meV per atom.

Unit cell a=11.7364 b=9.4528 c=20.8023 alpha=77.21 beta=90.00 gamma=90.00
Sites, in units of the cell vectors:
Te (0.8675, 0.3023, 0.9584)
Te (0.5309, 0.4718, 0.7683)
Te (0.8663, 0.7855, 0.4616)
Te (0.1337, 0.2145, 0.5384)
Te (0.0309, 0.5282, 0.7317)
Te (0.4691, 0.5282, 0.2317)
Te (0.1325, 0.6977, 0.0416)
Te (0.7415, 0.9803, 0.2067)
Te (0.2415, 0.0197, 0.2933)
Te (0.6325, 0.3023, 0.4584)
Te (0.3663, 0.2145, 0.0384)
Te (0.6337, 0.7855, 0.9616)
Te (0.9691, 0.4718, 0.2683)
Te (0.2585, 0.0197, 0.7933)
Te (0.7585, 0.9803, 0.7067)
Te (0.3675, 0.6977, 0.5416)
Mo (0.3356, 0.3296, 0.6586)
Mo (0.1644, 0.3296, 0.1586)
Mo (0.8356, 0.6704, 0.8414)
Mo (0.6644, 0.6704, 0.3414)
O (0.3550, 0.5068, 0.5935)
O (0.5990, 0.5680, 0.2771)
O (0.7348, 0.7964, 0.2662)
O (0.7826, 0.7243, 0.3947)
O (0.8550, 0.4932, 0.9065)
O (0.7652, 0.7964, 0.7662)
O (0.9010, 0.5680, 0.7771)
O (0.0990, 0.4320, 0.2229)
O (0.6450, 0.4932, 0.4065)
O (0.4473, 0.2307, 0.6427)
O (0.1450, 0.5068, 0.0935)
O (0.4010, 0.4320, 0.7229)
O (0.2652, 0.2036, 0.7338)
O (0.0527, 0.2307, 0.1427)
O (0.2174, 0.2757, 0.6053)
O (0.7174, 0.7243, 0.8947)
O (0.2826, 0.2757, 0.1053)
O (0.5527, 0.7693, 0.3573)
O (0.2348, 0.2036, 0.2338)
O (0.9473, 0.7693, 0.8573)
F (0.0502, 0.4477, 0.3471)
F (0.2485, 0.8401, 0.8526)
F (0.3783, 0.6224, 0.4659)
F (0.8755, 0.5005, 0.1935)
F (0.6975, 0.0758, 0.2726)
F (0.5260, 0.6887, 0.5506)
F (0.3574, 0.7774, 0.6161)
F (0.3755, 0.4995, 0.3065)
F (0.5502, 0.5523, 0.1529)
F (0.1277, 0.0257, 0.5902)
F (0.6388, 0.5976, 0.0143)
F (0.2907, 0.7122, 0.0316)
F (0.1178, 0.8843, 0.9889)
F (0.6178, 0.1157, 0.5111)
F (0.5887, 0.9676, 0.1829)
F (0.9501, 0.8454, 0.5271)
F (0.6607, 0.5136, 0.8162)
F (0.9113, 0.9676, 0.6829)
F (0.4113, 0.0324, 0.8171)
F (0.0887, 0.0324, 0.3171)
F (0.5499, 0.8454, 0.0271)
F (0.1426, 0.7774, 0.1161)
F (0.2515, 0.8401, 0.3526)
F (0.7148, 0.8890, 0.6396)
F (0.4981, 0.6700, 0.7499)
F (0.8822, 0.1157, 0.0111)
F (0.1607, 0.4864, 0.6838)
F (0.7680, 0.8322, 0.0005)
F (0.3025, 0.9242, 0.7274)
F (0.6245, 0.5005, 0.6935)
F (0.1245, 0.4995, 0.8065)
F (0.0777, 0.7220, 0.7089)
F (0.4740, 0.3113, 0.4494)
F (0.8723, 0.9743, 0.4098)
F (0.4498, 0.4477, 0.8471)
F (0.8574, 0.2226, 0.8839)
F (0.8025, 0.0758, 0.7726)
F (0.7515, 0.1599, 0.1474)
F (0.2093, 0.7122, 0.5316)
F (0.0499, 0.1546, 0.4729)
F (0.8783, 0.3776, 0.0341)
F (0.9981, 0.3300, 0.7501)
F (0.0260, 0.3113, 0.9494)
F (0.7320, 0.8322, 0.5005)
F (0.8393, 0.5136, 0.3162)
F (0.7485, 0.1599, 0.6474)
F (0.1055, 0.0024, 0.7713)
F (0.9740, 0.6887, 0.0506)
F (0.9498, 0.5523, 0.6529)
F (0.4501, 0.1546, 0.9729)
F (0.2320, 0.1678, 0.9995)
F (0.3822, 0.8843, 0.4889)
F (0.2680, 0.1678, 0.4995)
F (0.3393, 0.4864, 0.1838)
F (0.4223, 0.7220, 0.2089)
F (0.1975, 0.9242, 0.2274)
F (0.8945, 0.9976, 0.2287)
F (0.8612, 0.5976, 0.5143)
F (0.0019, 0.6700, 0.2499)
F (0.4977, 0.7407, 0.9239)
F (0.7907, 0.2878, 0.4684)
F (0.5019, 0.3300, 0.2501)
F (0.5777, 0.2780, 0.7911)
F (0.9223, 0.2780, 0.2911)
F (0.3723, 0.0257, 0.0902)
F (0.6426, 0.2226, 0.3839)
F (0.1388, 0.4024, 0.4857)
F (0.9977, 0.2593, 0.5761)
F (0.6217, 0.3776, 0.5341)
F (0.2148, 0.1110, 0.8604)
F (0.2852, 0.1110, 0.3604)
F (0.3612, 0.4024, 0.9857)
F (0.1217, 0.6224, 0.9659)
F (0.0023, 0.7407, 0.4239)
F (0.6055, 0.9976, 0.7287)
F (0.7093, 0.2878, 0.9684)
F (0.5023, 0.2593, 0.0761)
F (0.7852, 0.8890, 0.1396)
F (0.6277, 0.9743, 0.9098)
F (0.3945, 0.0024, 0.2713)

---

(5)
The following is a PBE+U calculation of an optimized crystal structure of Li7Nb2Fe3O16, from Materials Project.

Properties
Its energy relative to the elements is -2.012 eV/atom. The value obtained for the volume is 285.5 Å³/cell. The calculation puts the relative energy among the computed polymorphs at 14 meV per atom.

Unit cell a=5.9220 b=5.9220 c=9.6122 alpha=88.59 beta=88.59 gamma=57.90
Sites, in units of the cell vectors:
Li (0.3353, 0.8255, 0.2093)
Li (0.6744, 0.6744, 0.9033)
Li (0.9929, 0.9929, 0.0007)
Li (0.9967, 0.9967, 0.4886)
Li (0.8255, 0.3353, 0.2093)
Li (0.1664, 0.1664, 0.7110)
Li (0.3352, 0.3352, 0.3965)
Nb (0.6398, 0.6398, 0.4765)
Nb (0.3252, 0.3252, 0.0028)
Fe (0.8232, 0.8232, 0.2243)
Fe (0.1661, 0.6583, 0.7161)
Fe (0.6583, 0.1661, 0.7161)
O (0.3245, 0.8187, 0.5989)
O (0.5119, 0.5119, 0.3513)
O (0.6898, 0.6898, 0.1125)
O (0.9751, 0.9751, 0.3008)
O (0.9884, 0.9884, 0.8079)
O (0.8187, 0.3245, 0.5989)
O (0.5369, 0.9623, 0.3477)
O (0.9623, 0.5369, 0.3477)
O (0.1611, 0.1611, 0.0739)
O (0.8433, 0.8433, 0.6127)
O (0.0441, 0.5078, 0.8340)
O (0.5078, 0.0441, 0.8340)
O (0.3472, 0.3472, 0.6115)
O (0.1518, 0.6571, 0.0972)
O (0.4853, 0.4853, 0.8275)
O (0.6571, 0.1518, 0.0972)